Compound: C2S3
Source: Materials Project
Functional: PBE-GGA
Structure: relaxed

Offset from the most stable computed form, eV per atom: 0.031
Crystal system: monoclinic
DFT formation energy, meV/atom: 13
Energy with MP2020 corrections, eV per cell: -123.2

abc: 6.115 6.700 11.394
angles: 90.00 107.97 90.00
Space group P2_1/c (No. 14)
Inequivalent atoms, fractional coordinates:
1 C 0.069 0.005 0.463 [4 per cell]
2 C 0.211 0.694 0.602 [4 per cell]
3 S 0.019 0.201 0.359 [4 per cell]
4 S 0.275 0.681 0.982 [4 per cell]
5 S 0.354 0.003 0.173 [4 per cell]